Entry from the Materials Project database: crystalline SnGeS3 at its relaxed geometry (r²SCAN).

abc: 7.536 10.733 6.845
angles: 90.00 106.08 90.00
Sites, in units of the cell vectors:
1 Sn 0.130 0.060 0.284
2 Sn 0.130 0.440 0.784
3 Sn 0.870 0.560 0.216
4 Sn 0.870 0.940 0.716
5 Ge 0.303 0.720 0.486
6 Ge 0.303 0.780 0.986
7 Ge 0.697 0.220 0.014
8 Ge 0.697 0.280 0.514
9 S 0.052 0.666 0.903
10 S 0.052 0.834 0.403
11 S 0.212 0.524 0.427
12 S 0.212 0.976 0.927
13 S 0.496 0.731 0.801
14 S 0.496 0.769 0.301
15 S 0.504 0.231 0.699
16 S 0.504 0.269 0.199
17 S 0.788 0.024 0.073
18 S 0.788 0.476 0.573
19 S 0.948 0.166 0.597
20 S 0.948 0.334 0.097

Output
Symmetry: No. 14
Energy of formation (eV/atom): -0.433

Entry from the Materials Project database: crystalline CeZnPd at its relaxed geometry (r²SCAN).

abc: 7.387 7.387 3.993
angles: 90.00 90.00 120.00
Sites, in units of the cell vectors:
1 Ce 0.078 0.334 0.000
2 Ce 0.255 0.922 0.000
3 Ce 0.666 0.745 0.000
4 Zn 0.429 0.333 0.500
5 Zn 0.667 0.096 0.500
6 Zn 0.904 0.571 0.500
7 Pd 0.000 0.000 0.500
8 Pd 0.333 0.667 0.500
9 Pd 0.667 0.333 0.000

Output
Symmetry: No. 174
Energy of formation (eV/atom): -0.671
Energy above the most stable polymorph in this dataset (eV/atom): 0.014

Entry from the Materials Project database: crystalline Na2O at its relaxed geometry (r²SCAN).

abc: 3.878 3.878 3.878
angles: 60.00 60.00 60.00
Sites, in units of the cell vectors:
1 Na 0.250 0.250 0.250
2 Na 0.750 0.750 0.750
3 O 0.000 0.000 0.000

Output
Symmetry: No. 225
Energy of formation (eV/atom): -1.391

Entry from the Materials Project database: crystalline Ar at its relaxed geometry (r²SCAN).

abc: 3.986 3.986 6.625
angles: 90.00 90.00 120.00
Sites, in units of the cell vectors:
1 Ar 0.333 0.667 0.250
2 Ar 0.667 0.333 0.750

Output
Symmetry: No. 194
Energy of formation (eV/atom): 0.003
Energy above the most stable polymorph in this dataset (eV/atom): 0.003

Entry from the Materials Project database: crystalline HfBrN at its relaxed geometry (r²SCAN).

abc: 10.279 10.279 10.279
angles: 20.20 20.20 20.20
Sites, in units of the cell vectors:
1 Hf 0.209 0.209 0.209
2 Hf 0.791 0.791 0.791
3 Br 0.392 0.392 0.392
4 Br 0.608 0.608 0.608
5 N 0.138 0.138 0.138
6 N 0.862 0.862 0.862

Output
Symmetry: No. 166
Energy of formation (eV/atom): -1.970

Entry from the Materials Project database: crystalline ZnSe2O5 at its relaxed geometry (r²SCAN).

abc: 6.800 10.430 6.056
angles: 90.00 90.00 90.00
Sites, in units of the cell vectors:
1 Zn 0.000 0.059 0.250
2 Zn 0.000 0.941 0.750
3 Zn 0.500 0.441 0.750
4 Zn 0.500 0.559 0.250
5 Se 0.132 0.345 0.030
6 Se 0.132 0.655 0.530
7 Se 0.368 0.155 0.530
8 Se 0.368 0.845 0.030
9 Se 0.632 0.155 0.970
10 Se 0.632 0.845 0.470
11 Se 0.868 0.345 0.470
12 Se 0.868 0.655 0.970
13 O 0.000 0.432 0.250
14 O 0.000 0.568 0.750
15 O 0.157 0.066 0.545
16 O 0.157 0.934 0.045
17 O 0.196 0.210 0.161
18 O 0.196 0.790 0.661
19 O 0.304 0.290 0.661
20 O 0.304 0.710 0.161
21 O 0.343 0.434 0.045
22 O 0.343 0.566 0.545
23 O 0.500 0.068 0.750
24 O 0.500 0.932 0.250
25 O 0.657 0.434 0.455
26 O 0.657 0.566 0.955
27 O 0.696 0.290 0.839
28 O 0.696 0.710 0.339
29 O 0.804 0.210 0.339
30 O 0.804 0.790 0.839
31 O 0.843 0.066 0.955
32 O 0.843 0.934 0.455

Output
Symmetry: No. 60
Energy of formation (eV/atom): -1.028

no.,uncorrected energy (eV per atom)
1,-12.977
2,-21.575
3,-5.758
4,-4.855
5,-24.483
6,-9.453